1.
Ti45Se16: relaxed, PBE.

Geometry as POSCAR:
```
Ti45Se16
1.0
-2.328 2.535 0.404
-11.025 -8.773 -8.509
-4.101 -8.535 15.056
Ti Se
45 16
direct
0.184 0.796 0.360
0.555 0.754 0.105
0.272 0.344 0.544
0.441 0.441 0.881
0.818 0.749 0.628
0.913 0.125 0.821
0.473 0.632 0.942
0.659 0.932 0.315
0.345 0.069 0.684
0.782 0.020 0.562
0.562 0.559 0.119
0.001 0.500 0.000
0.038 0.045 0.072
0.733 0.658 0.456
0.648 0.530 0.288
0.698 0.100 0.401
0.782 0.486 0.559
0.092 0.875 0.179
0.821 0.206 0.640
0.107 0.663 0.206
0.435 0.834 0.866
0.623 0.333 0.243
0.447 0.246 0.895
0.916 0.551 0.828
0.224 0.515 0.441
0.185 0.251 0.373
0.007 0.204 0.014
0.480 0.091 0.956
0.134 0.066 0.268
0.088 0.449 0.173
0.262 0.140 0.527
0.523 0.909 0.042
0.529 0.369 0.058
0.868 0.935 0.730
0.381 0.668 0.757
0.359 0.470 0.713
0.740 0.861 0.473
0.712 0.386 0.421
0.303 0.901 0.599
0.219 0.981 0.437
0.568 0.166 0.134
0.995 0.796 0.986
0.898 0.336 0.794
0.966 0.955 0.926
0.293 0.615 0.580
0.739 0.243 0.482
0.639 0.184 0.279
0.415 0.003 0.824
0.376 0.219 0.750
0.071 0.289 0.141
0.932 0.711 0.859
0.264 0.758 0.519
0.180 0.636 0.347
0.364 0.817 0.721
0.827 0.365 0.653
0.589 0.998 0.175
0.162 0.415 0.319
0.029 0.650 0.054
0.973 0.350 0.946
0.629 0.782 0.250
0.844 0.585 0.682
```

Values from the calculation:
VASP energy = -451.20 eV/cell
SG = No. 1
DFT formation energy = -779 meV per atom

2.
Ti45Se16: relaxed, PBE.

Geometry as POSCAR:
```
Ti45Se16
1.0
1.743 17.694 0.000
-1.743 17.694 0.000
0.000 0.495 16.471
Ti Se
45 16
direct
0.133 0.133 0.934
0.820 0.820 0.794
0.552 0.552 0.249
0.000 0.000 0.500
0.441 0.441 0.559
0.737 0.737 0.139
0.272 0.272 0.659
0.867 0.867 0.066
0.187 0.187 0.749
0.341 0.341 0.932
0.909 0.909 0.877
0.355 0.355 0.527
0.300 0.300 0.100
0.103 0.103 0.335
0.728 0.728 0.341
0.994 0.994 0.206
0.521 0.521 0.092
0.700 0.700 0.900
0.897 0.897 0.665
0.528 0.528 0.634
0.913 0.913 0.450
0.291 0.291 0.385
0.963 0.963 0.043
0.783 0.783 0.982
0.220 0.220 0.488
0.180 0.180 0.206
0.263 0.263 0.861
0.813 0.813 0.251
0.559 0.559 0.441
0.621 0.621 0.667
0.006 0.006 0.794
0.645 0.645 0.473
0.091 0.091 0.123
0.448 0.448 0.751
0.087 0.087 0.550
0.780 0.780 0.512
0.379 0.379 0.333
0.479 0.479 0.908
0.472 0.472 0.366
0.567 0.567 0.834
0.037 0.037 0.957
0.433 0.433 0.166
0.217 0.217 0.018
0.709 0.709 0.615
0.659 0.659 0.068
0.259 0.259 0.243
0.027 0.027 0.351
0.841 0.841 0.413
0.174 0.174 0.366
0.070 0.070 0.711
0.624 0.624 0.217
0.159 0.159 0.587
0.741 0.741 0.757
0.376 0.376 0.783
0.360 0.360 0.185
0.930 0.930 0.289
0.973 0.973 0.649
0.826 0.826 0.634
0.588 0.588 0.003
0.412 0.412 0.997
0.640 0.640 0.815
```

Values from the calculation:
VASP energy = -448.29 eV/cell
SG = No. 12
DFT formation energy = -731 meV per atom

3.
TiSe: relaxed, PBE.

Geometry as POSCAR:
```
TiSe
1.0
12.904 -1.795 0.000
12.904 1.795 0.000
12.655 0.000 3.099
Se Ti
4 4
direct
0.793 0.793 0.793
0.624 0.624 0.624
0.207 0.207 0.207
0.376 0.376 0.376
0.000 0.000 0.000
0.914 0.914 0.914
0.500 0.500 0.500
0.086 0.086 0.086
```

Values from the calculation:
VASP energy = -53.16 eV/cell
SG = No. 166
DFT formation energy = -1185 meV per atom

4.
TiSe2: relaxed, PBE.

Geometry as POSCAR:
```
TiSe2
1.0
1.772 -3.069 0.000
1.772 3.069 0.000
0.000 0.000 6.694
Se Ti
2 1
direct
0.667 0.333 0.769
0.333 0.667 0.231
0.000 0.000 0.000
```

Values from the calculation:
VASP energy = -18.22 eV/cell
SG = No. 164
DFT formation energy = -1426 meV per atom

5.
TiTl4Se4: relaxed, PBE.

Geometry as POSCAR:
```
TiTl4Se4
1.0
-2.817 3.378 7.498
-8.081 -2.994 -1.687
-0.397 -14.923 6.575
Se Tl Ti
16 16 4
direct
0.331 0.049 0.787
0.611 0.818 0.962
0.947 0.389 0.707
0.889 0.818 0.462
0.332 0.703 0.464
0.831 0.951 0.713
0.669 0.951 0.213
0.389 0.182 0.038
0.168 0.703 0.964
0.053 0.611 0.293
0.447 0.611 0.793
0.111 0.182 0.538
0.169 0.049 0.287
0.668 0.297 0.536
0.832 0.297 0.036
0.553 0.389 0.207
0.219 0.388 0.138
0.399 0.819 0.123
0.683 0.589 0.610
0.817 0.589 0.110
0.006 0.030 0.867
0.317 0.411 0.390
0.601 0.181 0.877
0.506 0.970 0.633
0.781 0.612 0.862
0.281 0.388 0.638
0.183 0.411 0.890
0.719 0.612 0.362
0.899 0.181 0.377
0.994 0.970 0.133
0.101 0.819 0.623
0.494 0.030 0.367
0.612 0.209 0.123
0.388 0.791 0.877
0.112 0.791 0.377
0.888 0.209 0.623
```

Values from the calculation:
VASP energy = -149.64 eV/cell
SG = No. 14
DFT formation energy = -885 meV per atom

6.
U8TiSe17: relaxed, PBE.

Geometry as POSCAR:
```
U8TiSe17
1.0
4.417 6.946 0.000
-4.417 6.946 0.000
0.000 2.108 10.641
U Se Ti
8 17 1
direct
0.300 0.819 0.298
0.203 0.203 0.540
0.700 0.181 0.702
0.681 0.681 0.987
0.181 0.700 0.702
0.319 0.319 0.013
0.819 0.300 0.298
0.797 0.797 0.460
0.938 0.938 0.230
0.567 0.180 0.464
0.820 0.433 0.536
0.521 0.521 0.831
0.940 0.325 0.027
0.062 0.062 0.770
0.180 0.567 0.464
0.433 0.820 0.536
0.479 0.479 0.169
0.325 0.940 0.027
0.787 0.787 0.725
0.060 0.675 0.973
0.302 0.302 0.753
0.000 0.000 0.500
0.675 0.060 0.973
0.698 0.698 0.247
0.213 0.213 0.275
0.000 0.000 0.000
```

Values from the calculation:
VASP energy = -188.15 eV/cell
SG = No. 12
DFT formation energy = -1481 meV per atom